The following is a DFT calculation (PBE+U) of a relaxed structure of Hg2WO4.

Results
- DFT formation energy: -140.0 kJ per mole of atoms
- Space group: C2/c (15)
- MP2020-corrected energy: -87.02 eV for the cell shown
- Energy: -5.189 eV/atom
- Crystal system: monoclinic

Cell: 7.4429 7.4429 5.0680 Å, 104.64 104.64 106.35°
Atoms (fractional coordinates):
Hg1 0.0282 0.2572 0.4760
Hg2 0.2572 0.0282 0.9760
Hg3 0.7428 0.9718 0.0240
Hg4 0.9718 0.7428 0.5240
W1 0.4062 0.5938 0.2500
W2 0.5938 0.4062 0.7500
O1 0.1669 0.5477 0.2970
O2 0.3195 0.4151 0.8470
O3 0.4151 0.3195 0.3470
O4 0.4523 0.8331 0.2030
O5 0.5477 0.1669 0.7970
O6 0.5849 0.6805 0.6530
O7 0.6805 0.5849 0.1530
O8 0.8331 0.4523 0.7030